(1)
First-principles (PBE with a Hubbard U) data for crystalline ZnCrH28C6N12Cl5O8 at its relaxed geometry, as listed in the Materials Project.

Calculated values
Calculated volume, A^3/atom: 11.56
Formation enthalpy at 0 K, meV per atom: -749
Total energy after the MP2020 corrections, eV/atom: -5.833

Geometry as CIF:
```
data_ZnCrH28C6N12Cl5O8
_chemical_formula_sum 'Zn2 Cr2 H56 C12 N24 Cl10 O16'
_cell_length_a 10.738
_cell_length_b 11.007
_cell_length_c 13.410
_cell_angle_alpha 101.52
_cell_angle_beta 101.63
_cell_angle_gamma 108.61
_symmetry_space_group_name_H-M 'P 1'
_symmetry_Int_Tables_number 1
loop_
_symmetry_equiv_pos_as_xyz
'x,y,z'
loop_
_atom_site_label
_atom_site_type_symbol
_atom_site_fract_x
_atom_site_fract_y
_atom_site_fract_z
Zn1 Zn 0.093 0.302 0.330
Zn2 Zn 0.907 0.698 0.670
Cr1 Cr 0.460 0.957 0.238
Cr2 Cr 0.540 0.043 0.762
H1 H 0.024 0.834 0.350
H2 H 0.049 0.684 0.915
H3 H 0.083 0.902 0.998
H4 H 0.098 0.668 0.275
H5 H 0.120 0.002 0.366
H6 H 0.123 0.375 0.626
H7 H 0.147 0.022 0.798
H8 H 0.170 0.740 0.544
H9 H 0.172 0.617 0.958
H10 H 0.184 0.184 0.875
H11 H 0.186 0.368 0.739
H12 H 0.226 0.619 0.482
H13 H 0.229 0.176 0.597
H14 H 0.230 0.407 0.153
H15 H 0.231 0.001 0.104
H16 H 0.256 0.714 0.250
H17 H 0.277 0.495 0.079
H18 H 0.283 0.676 0.818
H19 H 0.285 0.044 0.607
H20 H 0.321 0.843 0.813
H21 H 0.369 0.291 0.164
H22 H 0.407 0.393 0.624
H23 H 0.411 0.338 0.924
H24 H 0.421 0.168 0.394
H25 H 0.438 0.575 0.280
H26 H 0.458 0.726 0.082
H27 H 0.470 0.668 0.532
H28 H 0.477 0.607 0.854
H29 H 0.523 0.393 0.146
H30 H 0.530 0.332 0.468
H31 H 0.542 0.274 0.918
H32 H 0.562 0.425 0.720
H33 H 0.579 0.832 0.606
H34 H 0.589 0.662 0.076
H35 H 0.593 0.607 0.376
H36 H 0.631 0.709 0.836
H37 H 0.679 0.157 0.187
H38 H 0.715 0.956 0.393
H39 H 0.717 0.324 0.182
H40 H 0.723 0.505 0.921
H41 H 0.744 0.286 0.750
H42 H 0.769 0.999 0.896
H43 H 0.770 0.593 0.847
H44 H 0.771 0.824 0.403
H45 H 0.774 0.381 0.518
H46 H 0.814 0.632 0.261
H47 H 0.816 0.816 0.125
H48 H 0.828 0.383 0.042
H49 H 0.830 0.260 0.456
H50 H 0.853 0.978 0.202
H51 H 0.877 0.625 0.374
H52 H 0.880 0.998 0.634
H53 H 0.902 0.332 0.725
H54 H 0.917 0.098 0.002
H55 H 0.951 0.316 0.085
H56 H 0.976 0.166 0.650
C1 C 0.202 0.870 0.306
C2 C 0.213 0.809 0.043
C3 C 0.349 0.135 0.863
C4 C 0.376 0.798 0.577
C5 C 0.436 0.230 0.662
C6 C 0.482 0.785 0.824
C7 C 0.518 0.215 0.176
C8 C 0.564 0.770 0.338
C9 C 0.624 0.202 0.423
C10 C 0.651 0.865 0.137
C11 C 0.787 0.191 0.957
C12 C 0.798 0.130 0.694
N1 N 0.110 0.905 0.346
N2 N 0.136 0.693 0.969
N3 N 0.168 0.910 0.052
N4 N 0.179 0.741 0.267
N5 N 0.215 0.107 0.855
N6 N 0.247 0.714 0.525
N7 N 0.308 0.142 0.611
N8 N 0.351 0.765 0.819
N9 N 0.441 0.258 0.911
N10 N 0.469 0.360 0.669
N11 N 0.470 0.313 0.168
N12 N 0.483 0.762 0.570
N13 N 0.517 0.238 0.430
N14 N 0.530 0.687 0.832
N15 N 0.531 0.640 0.331
N16 N 0.559 0.742 0.089
N17 N 0.649 0.235 0.181
N18 N 0.692 0.858 0.389
N19 N 0.753 0.286 0.475
N20 N 0.785 0.893 0.145
N21 N 0.821 0.259 0.733
N22 N 0.832 0.090 0.948
N23 N 0.864 0.307 0.031
N24 N 0.890 0.095 0.654
Cl1 Cl 0.016 0.554 0.691
Cl2 Cl 0.024 0.859 0.603
Cl3 Cl 0.110 0.196 0.166
Cl4 Cl 0.283 0.469 0.908
Cl5 Cl 0.307 0.422 0.445
Cl6 Cl 0.693 0.578 0.555
Cl7 Cl 0.717 0.531 0.092
Cl8 Cl 0.890 0.804 0.834
Cl9 Cl 0.976 0.141 0.397
Cl10 Cl 0.984 0.446 0.309
O1 O 0.144 0.314 0.664
O2 O 0.286 0.498 0.154
O3 O 0.310 0.965 0.304
O4 O 0.326 0.818 0.105
O5 O 0.385 0.037 0.827
O6 O 0.394 0.916 0.632
O7 O 0.433 0.104 0.180
O8 O 0.469 0.806 0.295
O9 O 0.531 0.194 0.705
O10 O 0.567 0.896 0.820
O11 O 0.606 0.084 0.368
O12 O 0.615 0.963 0.173
O13 O 0.674 0.182 0.895
O14 O 0.690 0.035 0.696
O15 O 0.714 0.502 0.846
O16 O 0.856 0.686 0.336
```

***

(2)
First-principles (PBE with a Hubbard U) data for crystalline Sm4Fe3CoAs4O4 at its relaxed geometry, as listed in the Materials Project.

Calculated values
Calculated volume, A^3/atom: 18.21
Formation enthalpy at 0 K, meV per atom: -1666
Polymorph energy (0 for the lowest one), meV/atom: 4
Total energy after the MP2020 corrections, eV/atom: -7.280

Geometry as CIF:
```
data_Sm4Fe3CoAs4O4
_chemical_formula_sum 'Sm4 Fe3 Co1 As4 O4'
_cell_length_a 5.659
_cell_length_b 5.659
_cell_length_c 9.099
_cell_angle_alpha 90.00
_cell_angle_beta 90.00
_cell_angle_gamma 90.00
_symmetry_space_group_name_H-M 'P 1'
_symmetry_Int_Tables_number 1
loop_
_symmetry_equiv_pos_as_xyz
'x,y,z'
loop_
_atom_site_label
_atom_site_type_symbol
_atom_site_fract_x
_atom_site_fract_y
_atom_site_fract_z
Sm1 Sm 0.250 0.250 0.373
Sm2 Sm 0.250 0.750 0.627
Sm3 Sm 0.750 0.250 0.627
Sm4 Sm 0.750 0.750 0.373
Fe1 Fe 0.000 0.000 0.000
Fe2 Fe 0.000 0.500 0.000
Fe3 Fe 0.500 0.000 0.000
Co1 Co 0.500 0.500 0.000
As1 As 0.255 0.255 0.824
As2 As 0.255 0.745 0.176
As3 As 0.745 0.255 0.176
As4 As 0.745 0.745 0.824
O1 O 0.000 0.000 0.500
O2 O 0.000 0.500 0.500
O3 O 0.500 0.000 0.500
O4 O 0.500 0.500 0.500
```

***

(3)
First-principles (PBE with a Hubbard U) data for crystalline SmFe2O4 at its relaxed geometry, as listed in the Materials Project.

Calculated values
Calculated volume, A^3/atom: 13.27
Formation enthalpy at 0 K, meV per atom: -2352
Polymorph energy (0 for the lowest one), meV/atom: 0
Total energy after the MP2020 corrections, eV/atom: -8.274

Geometry as CIF:
```
data_SmFe2O4
_chemical_formula_sum 'Sm1 Fe2 O4'
_cell_length_a 8.497
_cell_length_b 8.497
_cell_length_c 8.497
_cell_angle_alpha 24.52
_cell_angle_beta 24.52
_cell_angle_gamma 24.52
_symmetry_space_group_name_H-M 'P 1'
_symmetry_Int_Tables_number 1
loop_
_symmetry_equiv_pos_as_xyz
'x,y,z'
loop_
_atom_site_label
_atom_site_type_symbol
_atom_site_fract_x
_atom_site_fract_y
_atom_site_fract_z
Sm1 Sm 0.000 0.000 0.000
Fe1 Fe 0.211 0.211 0.211
Fe2 Fe 0.789 0.789 0.789
O1 O 0.127 0.127 0.127
O2 O 0.290 0.290 0.290
O3 O 0.710 0.710 0.710
O4 O 0.873 0.873 0.873
```

***

(4)
First-principles (PBE with a Hubbard U) data for crystalline K2CoH2Se2O10 at its relaxed geometry, as listed in the Materials Project.

Calculated values
Calculated volume, A^3/atom: 14.76
Formation enthalpy at 0 K, meV per atom: -1385
Total energy after the MP2020 corrections, eV/atom: -5.655

Geometry as CIF:
```
data_K2CoH2Se2O10
_chemical_formula_sum 'K2 Co1 H2 Se2 O10'
_cell_length_a 5.484
_cell_length_b 6.642
_cell_length_c 7.672
_cell_angle_alpha 108.58
_cell_angle_beta 95.52
_cell_angle_gamma 104.96
_symmetry_space_group_name_H-M 'P 1'
_symmetry_Int_Tables_number 1
loop_
_symmetry_equiv_pos_as_xyz
'x,y,z'
loop_
_atom_site_label
_atom_site_type_symbol
_atom_site_fract_x
_atom_site_fract_y
_atom_site_fract_z
K1 K 0.215 0.317 0.227
K2 K 0.785 0.683 0.773
Co1 Co 0.500 0.000 0.500
H1 H 0.386 0.016 0.786
H2 H 0.614 0.984 0.214
Se1 Se 0.143 0.287 0.726
Se2 Se 0.857 0.713 0.274
O1 O 0.124 0.108 0.838
O2 O 0.126 0.764 0.429
O3 O 0.238 0.550 0.866
O4 O 0.373 0.260 0.586
O5 O 0.476 0.032 0.276
O6 O 0.524 0.968 0.724
O7 O 0.627 0.740 0.414
O8 O 0.762 0.450 0.134
O9 O 0.874 0.236 0.571
O10 O 0.876 0.892 0.162
```

***

(5)
First-principles (PBE with a Hubbard U) data for crystalline MgMn3CrO8 at its relaxed geometry, as listed in the Materials Project.

Calculated values
Calculated volume, A^3/atom: 11.36
Formation enthalpy at 0 K, meV per atom: -2085
Polymorph energy (0 for the lowest one), meV/atom: 43
Total energy after the MP2020 corrections, eV/atom: -8.110

Geometry as CIF:
```
data_MgMn3CrO8
_chemical_formula_sum 'Mg1 Mn3 Cr1 O8'
_cell_length_a 5.863
_cell_length_b 5.896
_cell_length_c 5.906
_cell_angle_alpha 118.04
_cell_angle_beta 91.48
_cell_angle_gamma 119.51
_symmetry_space_group_name_H-M 'P 1'
_symmetry_Int_Tables_number 1
loop_
_symmetry_equiv_pos_as_xyz
'x,y,z'
loop_
_atom_site_label
_atom_site_type_symbol
_atom_site_fract_x
_atom_site_fract_y
_atom_site_fract_z
Mg1 Mg 0.000 0.000 0.000
Mn1 Mn 0.000 0.000 0.500
Mn2 Mn 0.000 0.500 0.000
Mn3 Mn 0.000 0.500 0.500
Cr1 Cr 0.500 0.000 0.500
O1 O 0.201 0.456 0.726
O2 O 0.221 0.958 0.711
O3 O 0.223 0.514 0.262
O4 O 0.231 0.001 0.276
O5 O 0.769 0.999 0.724
O6 O 0.777 0.486 0.738
O7 O 0.779 0.042 0.289
O8 O 0.799 0.544 0.274
```

***

(6)
First-principles (PBE with a Hubbard U) data for crystalline VCr3O8 at its relaxed geometry, as listed in the Materials Project.

Calculated values
Calculated volume, A^3/atom: 12.18
Formation enthalpy at 0 K, meV per atom: -2015
Total energy after the MP2020 corrections, eV/atom: -8.484

Geometry as CIF:
```
data_VCr3O8
_chemical_formula_sum 'V1 Cr3 O8'
_cell_length_a 5.819
_cell_length_b 5.819
_cell_length_c 5.949
_cell_angle_alpha 118.73
_cell_angle_beta 118.73
_cell_angle_gamma 60.89
_symmetry_space_group_name_H-M 'P 1'
_symmetry_Int_Tables_number 1
loop_
_symmetry_equiv_pos_as_xyz
'x,y,z'
loop_
_atom_site_label
_atom_site_type_symbol
_atom_site_fract_x
_atom_site_fract_y
_atom_site_fract_z
V1 V 0.000 0.000 0.000
Cr1 Cr 0.000 0.000 0.500
Cr2 Cr 0.000 0.500 0.000
Cr3 Cr 0.500 0.000 0.000
O1 O 0.199 0.766 0.220
O2 O 0.229 0.229 0.204
O3 O 0.234 0.801 0.780
O4 O 0.236 0.236 0.782
O5 O 0.764 0.764 0.218
O6 O 0.766 0.199 0.220
O7 O 0.771 0.771 0.796
O8 O 0.801 0.234 0.780
```